[1]
{"formula": "Dy3Cu4Sn4", "functional": "r2SCAN", "state": "relaxed", "lattice_angstrom": [[4.2810, 0.0027, -1.1738], [-0.7780, 6.2414, -2.8496], [0.0038, 0.0067, 8.4015]], "species": ["Sn", "Sn", "Sn", "Sn", "Cu", "Cu", "Cu", "Cu", "Dy", "Dy", "Dy"], "fractional_positions": [[0.5009, 0.7033, 0.0016], [0.2178, 0.2179, 0.4325], [0.4991, 0.2967, 0.9984], [0.7822, 0.7821, 0.5675], [0.6743, 0.9840, 0.3430], [0.6706, 0.3571, 0.3385], [0.3294, 0.6429, 0.6615], [0.3257, 0.0160, 0.6570], [0.0000, 0.0000, 0.0000], [0.8683, 0.3689, 0.7364], [0.1317, 0.6311, 0.2636]]}

=====

[2]
{"formula": "VCoAs", "functional": "r2SCAN", "state": "relaxed", "lattice_angstrom": [[-1.9435, -1.8418, -2.5959], [2.1463, -5.1981, 2.0813], [-5.3314, -0.4700, 4.3249]], "species": ["Co", "Co", "Co", "Co", "V", "V", "V", "V", "As", "As", "As", "As"], "fractional_positions": [[0.2500, 0.1417, 0.9424], [0.7500, 0.3584, 0.4424], [0.2500, 0.6416, 0.5576], [0.7500, 0.8583, 0.0576], [0.7500, 0.4737, 0.8222], [0.2500, 0.0263, 0.3223], [0.2500, 0.5263, 0.1778], [0.7500, 0.9737, 0.6777], [0.2500, 0.7592, 0.8756], [0.2500, 0.2592, 0.6244], [0.7500, 0.7408, 0.3756], [0.7500, 0.2408, 0.1244]]}

=====

[3]
{"formula": "ThTl3F7", "functional": "r2SCAN", "state": "relaxed", "lattice_angstrom": [[4.8457, -9.4951, 0.0000], [4.8457, 9.4951, 0.0000], [0.0000, 0.0000, 8.4690]], "species": ["F", "F", "F", "F", "F", "F", "F", "F", "F", "F", "F", "F", "F", "F", "F", "F", "F", "F", "F", "F", "F", "F", "F", "F", "F", "F", "F", "F", "Tl", "Tl", "Tl", "Tl", "Tl", "Tl", "Tl", "Tl", "Tl", "Tl", "Tl", "Tl", "Th", "Th", "Th", "Th"], "fractional_positions": [[0.8219, 0.1781, 0.2500], [0.9089, 0.6376, 0.9431], [0.8676, 0.8676, 0.5000], [0.0492, 0.9508, 0.7500], [0.3624, 0.0911, 0.9431], [0.7662, 0.9776, 0.7500], [0.9508, 0.0492, 0.2500], [0.6376, 0.9089, 0.4431], [0.6376, 0.9089, 0.0569], [0.8676, 0.8676, 0.0000], [0.7754, 0.2246, 0.9328], [0.6361, 0.3639, 0.7500], [0.1781, 0.8219, 0.7500], [0.3624, 0.0911, 0.5569], [0.5000, 0.5000, 0.5000], [0.9776, 0.7662, 0.2500], [0.1324, 0.1324, 0.0000], [0.7754, 0.2246, 0.5672], [0.0911, 0.3624, 0.0569], [0.9089, 0.6376, 0.5569], [0.2246, 0.7754, 0.4328], [0.2246, 0.7754, 0.0672], [0.2338, 0.0224, 0.2500], [0.5000, 0.5000, 0.0000], [0.1324, 0.1324, 0.5000], [0.3639, 0.6361, 0.2500], [0.0911, 0.3624, 0.4431], [0.0224, 0.2338, 0.7500], [0.7037, 0.6708, 0.7500], [0.6369, 0.3631, 0.0365], [0.3631, 0.6369, 0.5365], [0.0244, 0.5111, 0.2500], [0.6369, 0.3631, 0.4635], [0.5111, 0.0244, 0.7500], [0.3631, 0.6369, 0.9635], [0.2963, 0.3292, 0.2500], [0.9756, 0.4889, 0.7500], [0.6708, 0.7037, 0.2500], [0.3292, 0.2963, 0.7500], [0.4889, 0.9756, 0.2500], [0.1084, 0.8916, 0.0009], [0.8916, 0.1084, 0.5009], [0.8916, 0.1084, 0.9991], [0.1084, 0.8916, 0.4991]]}

=====

[4]
{"formula": "Sb3N5", "functional": "r2SCAN", "state": "relaxed", "lattice_angstrom": [[-0.1773, -2.1401, 3.3649], [10.2979, -2.0735, -0.7761], [2.1280, 8.5025, 5.5197]], "species": ["N", "N", "N", "N", "N", "N", "N", "N", "N", "N", "N", "N", "N", "N", "N", "N", "N", "N", "N", "N", "Sb", "Sb", "Sb", "Sb", "Sb", "Sb", "Sb", "Sb", "Sb", "Sb", "Sb", "Sb"], "fractional_positions": [[0.5000, 0.8032, 0.9256], [0.0000, 0.2405, 0.2500], [0.0000, 0.6968, 0.4256], [0.0000, 0.0498, 0.6129], [0.0000, 0.6968, 0.0744], [0.5000, 0.4502, 0.3871], [0.5000, 0.5498, 0.6129], [0.5000, 0.7405, 0.2500], [0.5000, 0.8032, 0.5744], [0.0000, 0.7595, 0.7500], [0.0000, 0.9502, 0.1129], [0.0000, 0.9502, 0.3871], [0.0000, 0.3032, 0.5744], [0.5000, 0.4502, 0.1129], [0.0000, 0.3032, 0.9256], [0.0000, 0.0498, 0.8871], [0.5000, 0.1968, 0.0744], [0.5000, 0.1968, 0.4256], [0.5000, 0.5498, 0.8871], [0.5000, 0.2595, 0.7500], [0.0000, 0.1360, 0.0641], [0.5000, 0.6360, 0.0641], [0.0000, 0.8166, 0.2500], [0.5000, 0.3640, 0.9359], [0.5000, 0.6360, 0.4359], [0.5000, 0.6834, 0.7500], [0.0000, 0.1360, 0.4359], [0.5000, 0.3640, 0.5641], [0.0000, 0.1834, 0.7500], [0.5000, 0.3166, 0.2500], [0.0000, 0.8640, 0.9359], [0.0000, 0.8640, 0.5641]]}

=====

[5]
{"formula": "LaAl3Pd2", "functional": "r2SCAN", "state": "relaxed", "lattice_angstrom": [[-1.6037, 1.4966, 5.0588], [-1.1866, -5.0423, -1.8894], [3.6483, -1.4530, 1.5864]], "species": ["Al", "Al", "Al", "La", "Pd", "Pd"], "fractional_positions": [[0.5000, 0.0000, 0.5000], [0.5000, 0.5000, 0.5000], [0.0000, 0.5000, 0.5000], [0.0000, 0.0000, 0.0000], [0.3333, 0.6667, 0.0000], [0.6667, 0.3333, 0.0000]]}

=====

[6]
{"formula": "PmMgAu2", "functional": "r2SCAN", "state": "relaxed", "lattice_angstrom": [[0.0000, 3.5063, 3.5063], [3.5063, 0.0000, 3.5063], [3.5063, 3.5063, 0.0000]], "species": ["Au", "Au", "Pm", "Mg"], "fractional_positions": [[0.0000, 0.0000, 0.0000], [0.5000, 0.5000, 0.5000], [0.7500, 0.7500, 0.7500], [0.2500, 0.2500, 0.2500]]}

=====

[7]
{"formula": "MnCd4O5", "functional": "r2SCAN", "state": "relaxed", "e_above_lowest_polymorph_kcal_per_mol_atoms": 0.00, "lattice_angstrom": [[-2.8445, 0.4834, -1.5619], [1.6369, 13.5096, 1.1996], [5.2786, -1.4283, -10.0549]], "species": ["O", "O", "O", "O", "O", "O", "O", "O", "O", "O", "O", "O", "O", "O", "O", "O", "O", "O", "O", "O", "Cd", "Cd", "Cd", "Cd", "Cd", "Cd", "Cd", "Cd", "Cd", "Cd", "Cd", "Cd", "Cd", "Cd", "Cd", "Cd", "Mn", "Mn", "Mn", "Mn"], "fractional_positions": [[0.5000, 0.2940, 0.2979], [0.0000, 0.5001, 0.2501], [0.5000, 0.4999, 0.5000], [0.0000, 0.0863, 0.8436], [0.5000, 0.0858, 0.0930], [0.0000, 0.2943, 0.5481], [0.5000, 0.9138, 0.9063], [0.0000, 0.9141, 0.1570], [0.0000, 0.9141, 0.6570], [0.5000, 0.0858, 0.5930], [0.5000, 0.2940, 0.7979], [0.0000, 0.5001, 0.7501], [0.5000, 0.4999, 0.9999], [0.5000, 0.7057, 0.2019], [0.5000, 0.7057, 0.7019], [0.5000, 0.9138, 0.4063], [0.0000, 0.0863, 0.3436], [0.0000, 0.7060, 0.4521], [0.0000, 0.7060, 0.9521], [0.0000, 0.2943, 0.0481], [0.0000, 0.6022, 0.1007], [0.5000, 0.1935, 0.4467], [0.0000, 0.3977, 0.3991], [0.0000, 0.6022, 0.6008], [0.5000, 0.6023, 0.8509], [0.0000, 0.8064, 0.3033], [0.5000, 0.1935, 0.9467], [0.0000, 0.8065, 0.8033], [0.5000, 0.8071, 0.5537], [0.0000, 0.1929, 0.6963], [0.0000, 0.1929, 0.1963], [0.0000, 0.3977, 0.8991], [0.5000, 0.8071, 0.0537], [0.5000, 0.3979, 0.1494], [0.5000, 0.6023, 0.3509], [0.5000, 0.3979, 0.6493], [0.5000, 0.9999, 0.7509], [0.0000, 0.0001, 0.9991], [0.0000, 0.0001, 0.4990], [0.5000, 0.9999, 0.2509]]}

=====

[8]
{"formula": "CsHg5Cl11", "functional": "r2SCAN", "state": "relaxed", "lattice_angstrom": [[-1.6969, -6.0201, -2.6409], [9.2381, 0.1404, 1.2511], [-2.9501, 0.2462, 8.8411]], "species": ["Cs", "Cl", "Cl", "Cl", "Cl", "Cl", "Cl", "Cl", "Cl", "Cl", "Cl", "Cl", "Hg", "Hg", "Hg", "Hg", "Hg"], "fractional_positions": [[0.0000, 0.0000, 0.0000], [0.3089, 0.3000, 0.8576], [0.3839, 0.6504, 0.6504], [0.6911, 0.7000, 0.1424], [0.0635, 0.1700, 0.4202], [0.9365, 0.5798, 0.8300], [0.6161, 0.3496, 0.3496], [0.3089, 0.8576, 0.3000], [0.9365, 0.8300, 0.5798], [0.5000, 0.0000, 0.0000], [0.6911, 0.1424, 0.7000], [0.0635, 0.4202, 0.1700], [0.6832, 0.3532, 0.0173], [0.6832, 0.0173, 0.3532], [0.3168, 0.9827, 0.6468], [0.3168, 0.6468, 0.9827], [0.0000, 0.5000, 0.5000]]}

=====

no.,volume (Å³ per cell),VASP energy (eV for the cell shown)
1,224.62,-244.53
2,153.89,-173.17
3,779.33,-1155.06
4,435.51,-474.30
5,111.51,-101.18
6,86.22,-138.04
7,507.56,-555.03
8,505.23,-354.71